(1)
## Cu8SiSe6 (PBE)

Data for crystalline Cu8SiSe6 at its relaxed geometry.

```
Cu8SiSe6
1.0
-2.8469 -2.9045 -5.9435
-5.7025 -2.3845 3.8967
-4.9495 8.7351 -1.8979
Cu Si Se
16 2 12
direct
0.1586 0.3063 0.6559 Cu
0.7321 0.5000 0.9651 Cu
0.2679 0.0000 0.4651 Cu
0.5937 0.5000 0.5346 Cu
0.4063 0.0000 0.0346 Cu
0.8414 0.1937 0.1559 Cu
0.5179 0.6877 0.7485 Cu
0.1586 0.6937 0.6559 Cu
0.8414 0.8063 0.1559 Cu
0.8944 0.2146 0.8438 Cu
0.1056 0.2854 0.3438 Cu
0.1056 0.7146 0.3438 Cu
0.4821 0.8123 0.2485 Cu
0.5179 0.3123 0.7485 Cu
0.4821 0.1877 0.2485 Cu
0.8944 0.7854 0.8438 Cu
0.7482 0.0000 0.5080 Si
0.2518 0.5000 0.0080 Si
0.2485 0.7611 0.8875 Se
0.2660 0.5000 0.4859 Se
0.7340 0.0000 0.9859 Se
0.7994 0.5000 0.7318 Se
0.2006 0.0000 0.2318 Se
0.5038 0.5000 0.1390 Se
0.4962 0.0000 0.6390 Se
0.9953 0.5000 0.1392 Se
0.0047 0.0000 0.6392 Se
0.2485 0.2389 0.8875 Se
0.7515 0.2611 0.3875 Se
0.7515 0.7389 0.3875 Se
```

Summary:
* space-group type: No. 31


(2)
## Sr2P7I (PBE)

Data for crystalline Sr2P7I at its relaxed geometry.

```
Sr2P7I
1.0
10.0533 0.0000 0.0000
0.0000 10.0533 0.0000
0.0000 0.0000 10.0533
Sr P I
8 28 4
direct
0.1540 0.6540 0.8460 Sr
0.6540 0.8460 0.1540 Sr
0.8460 0.1540 0.6540 Sr
0.3460 0.3460 0.3460 Sr
0.9019 0.4019 0.0981 Sr
0.4019 0.0981 0.9019 Sr
0.0981 0.9019 0.4019 Sr
0.5981 0.5981 0.5981 Sr
0.7195 0.2195 0.2805 P
0.2195 0.2805 0.7195 P
0.2805 0.7195 0.2195 P
0.7805 0.7805 0.7805 P
0.3082 0.4644 0.6427 P
0.3573 0.8082 0.0356 P
0.9644 0.8573 0.6918 P
0.8082 0.0356 0.3573 P
0.8573 0.6918 0.9644 P
0.4644 0.6427 0.3082 P
0.6918 0.9644 0.8573 P
0.6427 0.3082 0.4644 P
0.0356 0.3573 0.8082 P
0.1918 0.5356 0.1427 P
0.1427 0.1918 0.5356 P
0.5356 0.1427 0.1918 P
0.3579 0.4573 0.0292 P
0.9708 0.8579 0.0427 P
0.9573 0.4708 0.6421 P
0.8579 0.0427 0.9708 P
0.4708 0.6421 0.9573 P
0.4573 0.0292 0.3579 P
0.6421 0.9573 0.4708 P
0.0292 0.3579 0.4573 P
0.0427 0.9708 0.8579 P
0.1421 0.5427 0.5292 P
0.5292 0.1421 0.5427 P
0.5427 0.5292 0.1421 P
0.3488 0.8488 0.6512 I
0.8488 0.6512 0.3488 I
0.6512 0.3488 0.8488 I
0.1512 0.1512 0.1512 I
```

Summary:
* space-group type: No. 198


(3)
## MgSnO2 (PBE)

Data for crystalline MgSnO2 at its relaxed geometry.

```
MgSnO2
1.0
3.3274 0.0000 0.0000
0.9645 8.4779 0.0000
0.2661 0.2842 9.4407
Mg Sn O
4 4 8
direct
0.7260 0.3176 0.5842 Mg
0.2740 0.6824 0.4158 Mg
0.2085 0.3394 0.2704 Mg
0.7915 0.6606 0.7296 Mg
0.2083 0.9750 0.6690 Sn
0.4030 0.3146 0.8987 Sn
0.5970 0.6854 0.1013 Sn
0.7917 0.0250 0.3310 Sn
0.3870 0.8705 0.2438 O
0.2549 0.7695 0.7951 O
0.7451 0.2305 0.2049 O
0.6130 0.1295 0.7562 O
0.7649 0.6862 0.5218 O
0.8371 0.4260 0.7697 O
0.2351 0.3138 0.4782 O
0.1629 0.5740 0.2303 O
```

Summary:
* space-group type: No. 2


Number 1: formation energy -313.3 meV/atom. Number 2: formation energy -709.4 meV/atom. Number 3: formation energy -2098.1 meV/atom.